No. 1
Sr4CrN4 | Materials Project | PBE | optimized geometry; M_tot = 0.00 μB/f.u.; formation enthalpy at 0 K = -8.13 eV/f.u.
1.0
-5.5467 -1.7055 -10.3307
4.6443 -0.2207 -2.4572
0.3579 -11.5370 1.7125
N Sr Cr
16 16 4
direct
0.6732 0.2500 0.2915 N
0.0700 0.2500 0.8319 N
0.4968 0.2500 0.1097 N
0.7337 0.2500 0.0342 N
0.9968 0.2500 0.3903 N
0.0032 0.7500 0.6097 N
0.5700 0.2500 0.6681 N
0.7663 0.7500 0.5342 N
0.2337 0.2500 0.4658 N
0.8268 0.7500 0.7915 N
0.9300 0.7500 0.1681 N
0.3268 0.7500 0.7085 N
0.1732 0.2500 0.2085 N
0.5032 0.7500 0.8903 N
0.2663 0.7500 0.9658 N
0.4300 0.7500 0.3319 N
0.7763 0.7500 0.0250 Sr
0.5908 0.7500 0.6861 Sr
0.9092 0.2500 0.1861 Sr
0.5541 0.2500 0.8901 Sr
0.8653 0.2500 0.8360 Sr
0.6347 0.7500 0.3360 Sr
0.7237 0.2500 0.5250 Sr
0.3653 0.2500 0.6640 Sr
0.1347 0.7500 0.1640 Sr
0.9459 0.7500 0.3901 Sr
0.0541 0.2500 0.6099 Sr
0.4092 0.2500 0.3139 Sr
0.0908 0.7500 0.8139 Sr
0.2237 0.2500 0.9750 Sr
0.2763 0.7500 0.4750 Sr
0.4459 0.7500 0.1099 Sr
0.1361 0.2500 0.3524 Cr
0.6361 0.2500 0.1476 Cr
0.8639 0.7500 0.6476 Cr
0.3639 0.7500 0.8524 Cr

No. 2
ReP3 | Materials Project | PBE | optimized geometry; formation enthalpy at 0 K = -1.34 eV/f.u.
1.0
-1.7265 -2.5724 -0.5620
4.2328 -2.4966 -1.5762
2.5244 -4.8556 14.4695
P Re
12 4
direct
0.7500 0.6793 0.6182 P
0.7500 0.8207 0.1182 P
0.2500 0.3207 0.3818 P
0.2500 0.5228 0.7927 P
0.2500 0.3536 0.0130 P
0.2500 0.1793 0.8818 P
0.2500 0.9772 0.2927 P
0.7500 0.8536 0.4870 P
0.2500 0.1464 0.5130 P
0.7500 0.6464 0.9870 P
0.7500 0.0228 0.7073 P
0.7500 0.4772 0.2073 P
0.2500 0.1499 0.1505 Re
0.7500 0.8501 0.8495 Re
0.7500 0.6499 0.3495 Re
0.2500 0.3501 0.6505 Re